[1]
CaV2P2O10 | GGA+U | relaxed

a b c (Å): 9.9607 8.8258 6.9295
angles (deg): 77.39 59.85 42.76
Sites, in units of the cell vectors:
O (0.9102, 0.4207, 0.5917)
O (0.8857, 0.1418, 0.8302)
O (0.5802, 0.7215, 0.4479)
O (0.1704, 0.0331, 0.3050)
P (0.4534, 0.9622, 0.5458)
O (0.4198, 0.1077, 0.3643)
O (0.5976, 0.9339, 0.6122)
V (0.3445, 0.3952, 0.3837)
O (0.4915, 0.3050, 0.0331)
P (0.2878, 0.7966, 0.2114)
O (0.5285, 0.6698, 0.9996)
O (0.2169, 0.0796, 0.7585)
O (0.8563, 0.6122, 0.9339)
O (0.8293, 0.3398, 0.1726)
O (0.6378, 0.3937, 0.6524)
O (0.8021, 0.9996, 0.6698)
O (0.1423, 0.8302, 0.1418)
O (0.1082, 0.3643, 0.1077)
O (0.3161, 0.6524, 0.3937)
V (0.8663, 0.3735, 0.9055)
O (0.2504, 0.4479, 0.7215)
V (0.8765, 0.3837, 0.3952)
Ca (0.2508, 0.7492, 0.7492)
V (0.8548, 0.9055, 0.3735)
P (0.0386, 0.5458, 0.9622)
P (0.7042, 0.2114, 0.7966)
O (0.0774, 0.5917, 0.4207)
Ca (0.5008, 0.9992, 0.9992)
O (0.6583, 0.1726, 0.3398)
O (0.9450, 0.7585, 0.0796)

**ΔH_f (0 K)**: -2.8107 eV/atom
**Uncorrected energy**: -224.7 eV/cell
**Total magnetic moment**: 2.000 μB per formula unit

---

[2]
Ba3Ho2MoO9 | GGA+U | relaxed

a b c (Å): 6.0862 6.0862 14.8896
angles (deg): 89.68 89.68 59.79
Sites, in units of the cell vectors:
O (0.5439, 0.9780, 0.7389)
Ba (0.0016, 0.9984, 0.2500)
O (0.4992, 0.5008, 0.7500)
O (0.8471, 0.8478, 0.9249)
Ba (0.3342, 0.3323, 0.4140)
O (0.6768, 0.1896, 0.5655)
O (0.2862, 0.8851, 0.9157)
Mo (0.0000, 0.0000, 0.0000)
O (0.8851, 0.2862, 0.4157)
O (0.7138, 0.1149, 0.0843)
O (0.8104, 0.3232, 0.9345)
Ho (0.3335, 0.3329, 0.6680)
O (0.4561, 0.0220, 0.2611)
O (0.9780, 0.5439, 0.2389)
Mo (0.0000, 0.0000, 0.5000)
Ho (0.6665, 0.6671, 0.3320)
Ba (0.3323, 0.3342, 0.9140)
Ba (0.6677, 0.6658, 0.0860)
O (0.1522, 0.1529, 0.5751)
O (0.1896, 0.6768, 0.0655)
Ho (0.3329, 0.3335, 0.1680)
O (0.3232, 0.8104, 0.4345)
Ho (0.6671, 0.6665, 0.8320)
O (0.8478, 0.8471, 0.4249)
O (0.5008, 0.4992, 0.2500)
O (0.1149, 0.7138, 0.5843)
Ba (0.9984, 0.0016, 0.7500)
O (0.0220, 0.4561, 0.7611)
Ba (0.6658, 0.6677, 0.5860)
O (0.1529, 0.1522, 0.0751)

**ΔH_f (0 K)**: -3.2133 eV/atom
**Uncorrected energy**: -218.2 eV/cell
**Total magnetic moment**: 0.001 μB per formula unit

---

[3]
Fe4O3F5 | GGA+U | relaxed

a b c (Å): 10.0794 10.0794 4.8001
angles (deg): 86.10 86.10 35.74
Sites, in units of the cell vectors:
F (0.4420, 0.9559, 0.8016)
F (0.9260, 0.9260, 0.2959)
F (0.6872, 0.2116, 0.8001)
Fe (0.7567, 0.7567, 0.9760)
F (0.7870, 0.3142, 0.2010)
O (0.0760, 0.0760, 0.6887)
Fe (0.0026, 0.0026, 0.9896)
O (0.4243, 0.4243, 0.3016)
Fe (0.8801, 0.3644, 0.5112)
F (0.2116, 0.6872, 0.8001)
F (0.5394, 0.0589, 0.2044)
O (0.5764, 0.5764, 0.6983)
Fe (0.4999, 0.4999, 0.9995)
O (0.1739, 0.1739, 0.3005)
F (0.9559, 0.4420, 0.8016)
Fe (0.1358, 0.6084, 0.5105)
Fe (0.6084, 0.1358, 0.5105)
F (0.0589, 0.5394, 0.2044)
O (0.8318, 0.8318, 0.6748)
F (0.6764, 0.6764, 0.3001)
F (0.3142, 0.7870, 0.2010)
Fe (0.2473, 0.2473, 0.0089)
O (0.3223, 0.3223, 0.7086)
Fe (0.3644, 0.8801, 0.5112)

**ΔH_f (0 K)**: -2.1480 eV/atom
**Uncorrected energy**: -141.4 eV/cell
**Total magnetic moment**: 18.999 μB per formula unit

---

[4]
Na3PrV2O8 | GGA+U | relaxed

a b c (Å): 6.0578 6.0578 7.4113
angles (deg): 90.00 90.00 120.00
Sites, in units of the cell vectors:
O (0.8240, 0.1760, 0.6960)
V (0.6667, 0.3333, 0.7797)
O (0.3520, 0.1760, 0.6960)
Na (0.3333, 0.6667, 0.7010)
O (0.8240, 0.6480, 0.6960)
Na (0.0000, 0.0000, 0.0000)
O (0.3333, 0.6667, 0.9938)
O (0.6667, 0.3333, 0.0062)
V (0.3333, 0.6667, 0.2203)
O (0.1760, 0.3520, 0.3040)
O (0.6480, 0.8240, 0.3040)
Pr (0.0000, 0.0000, 0.5000)
Na (0.6667, 0.3333, 0.2990)
O (0.1760, 0.8240, 0.3040)

**ΔH_f (0 K)**: -2.5634 eV/atom
**Uncorrected energy**: -93.5 eV/cell
**Total magnetic moment**: 0.000 μB per formula unit

---

[5]
MgMnO2 | GGA+U | relaxed

a b c (Å): 5.6484 5.6484 5.6484
angles (deg): 31.31 31.31 31.31
Sites, in units of the cell vectors:
O (0.4184, 0.4184, 0.4184)
O (0.5807, 0.5807, 0.5807)
Mn (0.9989, 0.9989, 0.9989)
Mg (0.1687, 0.1687, 0.1687)

**ΔH_f (0 K)**: -2.3138 eV/atom
**Uncorrected energy**: -26.9 eV/cell
**Total magnetic moment**: 5.000 μB per formula unit

---

[6]
MgV12B4O20 | GGA+U | relaxed

a b c (Å): 3.1735 9.7537 12.9779
angles (deg): 88.95 90.00 90.00
Sites, in units of the cell vectors:
B (0.0000, 0.2097, 0.6222)
O (0.0000, 0.1279, 0.7164)
V (0.5000, 0.5139, 0.0062)
O (0.5000, 0.3864, 0.8672)
O (0.5000, 0.5987, 0.5777)
O (0.0000, 0.6559, 0.9575)
Mg (0.5000, 0.2402, 0.7675)
O (0.0000, 0.3572, 0.2398)
V (0.5000, 0.9625, 0.7727)
O (0.0000, 0.1499, 0.5304)
O (0.0000, 0.8640, 0.8574)
V (0.0000, 0.2499, 0.3827)
V (0.0000, 0.9890, 0.9963)
O (0.0000, 0.6351, 0.3560)
V (0.5000, 0.5130, 0.2802)
B (0.0000, 0.7788, 0.3557)
O (0.5000, 0.8797, 0.6309)
O (0.5000, 0.6271, 0.1407)
O (0.0000, 0.8473, 0.4490)
V (0.0000, 0.7512, 0.6027)
O (0.0000, 0.3505, 0.6455)
B (0.0000, 0.7201, 0.8621)
O (0.5000, 0.1072, 0.9082)
O (0.0000, 0.3737, 0.0578)
O (0.5000, 0.1215, 0.3549)
V (0.5000, 0.0137, 0.2182)
V (0.5000, 0.5130, 0.7254)
O (0.0000, 0.8542, 0.2626)
O (0.0000, 0.1469, 0.1378)
O (0.0000, 0.6493, 0.7690)
V (0.5000, 0.9944, 0.4886)
O (0.5000, 0.3942, 0.4211)
V (0.0000, 0.4983, 0.4970)
B (0.0000, 0.2896, 0.1471)
O (0.5000, 0.8974, 0.0782)
V (0.0000, 0.7510, 0.1174)
V (0.0000, 0.2584, 0.9293)

**ΔH_f (0 K)**: -2.3182 eV/atom
**Uncorrected energy**: -287.9 eV/cell
**Total magnetic moment**: 34.000 μB per formula unit

---

[7]
V2Pb14Cl4O17 | GGA+U | relaxed

a b c (Å): 13.2858 13.2858 11.5169
angles (deg): 76.96 76.96 121.97
Sites, in units of the cell vectors:
O (0.6448, 0.3552, 0.2500)
Pb (0.0384, 0.2066, 0.3063)
O (0.8567, 0.1433, 0.7500)
O (0.1153, 0.3889, 0.6227)
Cl (0.6076, 0.6376, 0.8007)
Cl (0.8699, 0.8778, 0.4370)
Pb (0.1609, 0.5473, 0.6992)
Pb (0.8010, 0.9707, 0.6804)
O (0.3641, 0.8659, 0.3214)
Pb (0.2066, 0.0384, 0.8063)
Pb (0.5500, 0.7089, 0.0446)
Cl (0.1222, 0.1301, 0.0630)
O (0.1847, 0.4785, 0.3264)
Pb (0.9616, 0.7934, 0.6937)
V (0.4559, 0.8108, 0.3253)
Pb (0.6824, 0.0769, 0.9200)
Pb (0.9707, 0.8010, 0.1804)
O (0.1341, 0.6359, 0.1786)
O (0.3449, 0.6348, 0.0426)
V (0.5441, 0.1892, 0.6747)
Pb (0.2964, 0.9061, 0.5606)
O (0.8659, 0.3641, 0.8214)
O (0.3552, 0.6448, 0.7500)
O (0.8663, 0.1337, 0.2500)
O (0.8312, 0.1147, 0.0140)
Pb (0.3176, 0.9231, 0.0800)
Pb (0.4527, 0.8391, 0.8008)
O (0.3804, 0.0932, 0.3875)
O (0.1147, 0.8312, 0.5140)
Pb (0.5473, 0.1609, 0.1992)
Pb (0.9061, 0.2964, 0.0606)
O (0.3652, 0.6551, 0.4574)
O (0.5904, 0.9113, 0.3572)
Pb (0.5413, 0.7182, 0.5771)
Cl (0.1301, 0.1222, 0.5630)
O (0.1337, 0.8663, 0.7500)
Pb (0.7182, 0.5413, 0.0771)
Cl (0.6376, 0.6076, 0.3007)
O (0.6551, 0.3652, 0.9574)
Pb (0.1990, 0.0293, 0.3196)
Pb (0.4587, 0.2818, 0.4229)
Cl (0.3924, 0.3624, 0.1993)
Pb (0.7934, 0.9616, 0.1937)
Pb (0.2818, 0.4587, 0.9229)
O (0.4785, 0.1847, 0.8264)
O (0.8847, 0.6111, 0.3773)
V (0.8108, 0.4559, 0.8253)
Pb (0.0769, 0.6824, 0.4200)
Cl (0.8778, 0.8699, 0.9370)
O (0.8853, 0.1688, 0.4860)
Cl (0.3624, 0.3924, 0.6993)
O (0.6111, 0.8847, 0.8773)
Pb (0.9231, 0.3176, 0.5800)
O (0.9068, 0.6196, 0.1125)
Pb (0.2911, 0.4500, 0.4554)
O (0.0887, 0.4096, 0.1427)
O (0.1433, 0.8567, 0.2500)
O (0.6348, 0.3449, 0.5426)
O (0.5215, 0.8153, 0.1736)
O (0.9113, 0.5904, 0.8572)
O (0.3889, 0.1153, 0.1227)
V (0.1892, 0.5441, 0.1747)
Pb (0.7036, 0.0939, 0.4394)
O (0.0932, 0.3804, 0.8875)
Pb (0.8391, 0.4527, 0.3008)
O (0.4096, 0.0887, 0.6428)
Pb (0.0293, 0.1990, 0.8196)
O (0.6196, 0.9068, 0.6125)
O (0.6359, 0.1341, 0.6786)
Pb (0.4500, 0.2911, 0.9554)
Pb (0.7089, 0.5500, 0.5446)
Pb (0.0939, 0.7036, 0.9394)
O (0.1688, 0.8853, 0.9860)
O (0.8153, 0.5215, 0.6736)

**ΔH_f (0 K)**: -1.6711 eV/atom
**Uncorrected energy**: -416.8 eV/cell

---

[8]
V3O8 | GGA+U | relaxed

a b c (Å): 3.6834 17.3936 9.4808
angles (deg): 90.00 90.00 90.00
Sites, in units of the cell vectors:
O (0.7500, 0.7202, 0.4248)
O (0.7500, 0.0546, 0.7857)
V (0.7500, 0.5515, 0.9100)
O (0.7500, 0.5546, 0.7143)
O (0.7500, 0.5418, 0.4278)
V (0.2500, 0.3479, 0.4484)
V (0.2500, 0.8479, 0.0516)
O (0.2500, 0.1199, 0.9706)
O (0.2500, 0.7798, 0.9248)
O (0.7500, 0.4051, 0.7695)
O (0.2500, 0.0200, 0.5740)
O (0.7500, 0.7182, 0.6803)
O (0.2500, 0.2798, 0.5752)
O (0.7500, 0.2182, 0.8197)
O (0.7500, 0.1389, 0.5377)
V (0.7500, 0.1521, 0.9484)
O (0.7500, 0.0418, 0.0722)
O (0.7500, 0.8801, 0.0294)
O (0.2500, 0.3611, 0.0377)
O (0.2500, 0.5949, 0.2305)
V (0.7500, 0.0515, 0.5900)
V (0.2500, 0.0440, 0.1269)
O (0.2500, 0.2818, 0.3197)
O (0.2500, 0.5200, 0.9260)
V (0.7500, 0.6521, 0.5516)
O (0.7500, 0.9051, 0.7305)
O (0.2500, 0.4454, 0.2857)
O (0.2500, 0.9454, 0.2143)
V (0.7500, 0.9560, 0.8731)
V (0.2500, 0.4485, 0.0900)
V (0.7500, 0.4560, 0.6269)
O (0.2500, 0.4582, 0.5722)
V (0.2500, 0.9485, 0.4100)
O (0.7500, 0.4800, 0.0740)
O (0.2500, 0.9582, 0.9278)
O (0.7500, 0.9800, 0.4260)
O (0.2500, 0.0949, 0.2695)
O (0.7500, 0.3801, 0.4706)
O (0.2500, 0.7818, 0.1803)
O (0.2500, 0.6199, 0.5294)
O (0.7500, 0.6389, 0.9623)
O (0.2500, 0.8611, 0.4623)
V (0.2500, 0.5440, 0.3731)
O (0.7500, 0.2202, 0.0752)

**ΔH_f (0 K)**: -2.0569 eV/atom
**Uncorrected energy**: -315.5 eV/cell
**Total magnetic moment**: 1.000 μB per formula unit

---

[9]
Li3Mn2O5 | GGA+U | relaxed

a b c (Å): 2.8757 5.0976 13.1676
angles (deg): 99.59 96.26 73.62
Sites, in units of the cell vectors:
Mn (0.2135, 0.9580, 0.3845)
O (0.6199, 0.8064, 0.0470)
O (0.5799, 0.1937, 0.3531)
O (0.2539, 0.7514, 0.2587)
Li (0.9018, 0.4827, 0.2862)
Li (0.1000, 0.4998, 0.6999)
Li (0.6888, 0.5365, 0.9141)
O (0.8487, 0.7397, 0.4367)
Li (0.5113, 0.4635, 0.4858)
O (0.9460, 0.2486, 0.1413)
O (0.7558, 0.2446, 0.7560)
O (0.4446, 0.7552, 0.6440)
Mn (0.8098, 0.9748, 0.5936)
O (0.0252, 0.8086, 0.8591)
Mn (0.9863, 0.0422, 0.0154)
Mn (0.3900, 0.0252, 0.8064)
Li (0.6000, 0.9999, 0.2000)
Li (0.2981, 0.5173, 0.1138)
O (0.1751, 0.1914, 0.5409)
O (0.3513, 0.2604, 0.9633)

**ΔH_f (0 K)**: -2.1240 eV/atom
**Uncorrected energy**: -126.5 eV/cell
**Total magnetic moment**: 7.004 μB per formula unit

---

[10]
Li7Co5O12 | GGA+U | relaxed

a b c (Å): 14.6524 14.6524 5.0636
angles (deg): 80.59 80.59 11.48
Sites, in units of the cell vectors:
Li (0.0818, 0.0818, 0.5769)
O (0.8712, 0.8712, 0.1337)
Li (0.2500, 0.2500, 0.7521)
O (0.0366, 0.0366, 0.2522)
Li (0.5000, 0.5000, 0.5000)
Li (0.4185, 0.4185, 0.9144)
Co (0.8336, 0.8336, 0.8335)
O (0.7953, 0.7953, 0.5359)
O (0.1288, 0.1288, 0.8663)
Li (0.7500, 0.7500, 0.2479)
O (0.2047, 0.2047, 0.4641)
O (0.4638, 0.4638, 0.1832)
O (0.6269, 0.6269, 0.3700)
Co (0.1664, 0.1664, 0.1665)
O (0.2946, 0.2946, 0.0350)
Co (0.0000, 0.0000, 0.0000)
O (0.5362, 0.5362, 0.8168)
Li (0.5815, 0.5815, 0.0856)
O (0.9634, 0.9634, 0.7478)
O (0.7054, 0.7054, 0.9650)
Co (0.3335, 0.3335, 0.3335)
Li (0.9182, 0.9182, 0.4231)
O (0.3731, 0.3731, 0.6300)
Co (0.6665, 0.6665, 0.6665)

**ΔH_f (0 K)**: -1.6964 eV/atom
**Uncorrected energy**: -132.6 eV/cell
**Total magnetic moment**: 2.000 μB per formula unit

---

[11]
MgV2O3F3 | GGA+U | relaxed

a b c (Å): 5.1611 5.4519 5.0930
angles (deg): 87.71 117.19 64.53
Sites, in units of the cell vectors:
F (0.1543, 0.7589, 0.7536)
F (0.4920, 0.7714, 0.3941)
V (0.9970, 0.0045, 0.0185)
Mg (0.6115, 0.6051, 0.8147)
V (0.0005, 0.4765, 0.4809)
F (0.4870, 0.2775, 0.6319)
O (0.0437, 0.2994, 0.8104)
O (0.8496, 0.2846, 0.2089)
O (0.8771, 0.7470, 0.1369)

**ΔH_f (0 K)**: -2.8657 eV/atom
**Uncorrected energy**: -59.3 eV/cell
**Total magnetic moment**: 3.000 μB per formula unit

---

[12]
KCr3BiO12 | GGA+U | relaxed

a b c (Å): 6.9673 7.3043 11.0689
angles (deg): 97.80 91.94 96.04
Sites, in units of the cell vectors:
Cr (0.8409, 0.7584, 0.9618)
O (0.1906, 0.7556, 0.2686)
O (0.6674, 0.3120, 0.1383)
O (0.6787, 0.9141, 0.9994)
O (0.1786, 0.5074, 0.6522)
O (0.7240, 0.5444, 0.9479)
O (0.0248, 0.7870, 0.0712)
Bi (0.6457, 0.2190, 0.9197)
Cr (0.6371, 0.4734, 0.2544)
O (0.8063, 0.8432, 0.5450)
O (0.3326, 0.6880, 0.8617)
O (0.4220, 0.8176, 0.5203)
O (0.9752, 0.2130, 0.9288)
O (0.8094, 0.2444, 0.7314)
Cr (0.3629, 0.5266, 0.7456)
Cr (0.1591, 0.2416, 0.0382)
Cr (0.6050, 0.8184, 0.6136)
O (0.6125, 0.6779, 0.2090)
O (0.4053, 0.0086, 0.2686)
O (0.5947, 0.9914, 0.7314)
O (0.9310, 0.7955, 0.8340)
Cr (0.3950, 0.1816, 0.3864)
K (0.8564, 0.9918, 0.3225)
O (0.1937, 0.1568, 0.4550)
K (0.1436, 0.0082, 0.6775)
O (0.2760, 0.4556, 0.0521)
O (0.8214, 0.4926, 0.3478)
O (0.4248, 0.3980, 0.3288)
Bi (0.3543, 0.7810, 0.0803)
O (0.5752, 0.6020, 0.6712)
O (0.0690, 0.2045, 0.1660)
O (0.5780, 0.1824, 0.4797)
O (0.3875, 0.3221, 0.7910)
O (0.3213, 0.0859, 0.0006)

**ΔH_f (0 K)**: -1.5266 eV/atom
**Uncorrected energy**: -210.1 eV/cell
**Total magnetic moment**: 1.999 μB per formula unit